[1]
{
  "formula": "Dy4MnS7",
  "functional": "PBE",
  "state": "relaxed",
  "cell": [[6.265, -1.905, 0.000], [6.265, 1.905, 0.000], [-2.929, 0.000, 11.081]],
  "species": ["Dy", "Dy", "Dy", "Dy", "Mn", "S", "S", "S", "S", "S", "S", "S"],
  "fractional_positions": [[0.000, 0.000, 0.000], [0.387, 0.387, 0.597], [0.579, 0.579, 0.362], [0.693, 0.693, 0.801], [0.807, 0.807, 0.216], [0.033, 0.033, 0.744], [0.200, 0.200, 0.292], [0.355, 0.355, 0.847], [0.424, 0.424, 0.148], [0.659, 0.659, 0.022], [0.729, 0.729, 0.580], [0.949, 0.949, 0.436]],
  "sg": "No. 8"
}

=====

[2]
{
  "formula": "Dy4MnSe7",
  "functional": "PBE",
  "state": "relaxed",
  "cell": [[6.553, -1.981, 0.000], [6.553, 1.981, 0.000], [-3.098, 0.000, 11.635]],
  "species": ["Dy", "Dy", "Dy", "Dy", "Mn", "Se", "Se", "Se", "Se", "Se", "Se", "Se"],
  "fractional_positions": [[0.000, 0.000, 0.000], [0.387, 0.387, 0.598], [0.579, 0.579, 0.363], [0.694, 0.694, 0.802], [0.809, 0.809, 0.219], [0.033, 0.033, 0.746], [0.200, 0.200, 0.293], [0.356, 0.356, 0.847], [0.424, 0.424, 0.149], [0.660, 0.660, 0.022], [0.730, 0.730, 0.581], [0.949, 0.949, 0.436]],
  "sg": "No. 8"
}

=====

[3]
{
  "formula": "DyMnSi",
  "functional": "PBE",
  "state": "relaxed",
  "cell": [[6.987, 0.000, 0.000], [0.000, 4.100, 0.000], [0.000, 0.000, 7.550]],
  "species": ["Dy", "Dy", "Dy", "Dy", "Mn", "Mn", "Mn", "Mn", "Si", "Si", "Si", "Si"],
  "fractional_positions": [[0.008, 0.250, 0.186], [0.492, 0.750, 0.686], [0.508, 0.250, 0.314], [0.992, 0.750, 0.814], [0.138, 0.250, 0.559], [0.362, 0.750, 0.059], [0.638, 0.250, 0.941], [0.862, 0.750, 0.441], [0.211, 0.750, 0.390], [0.289, 0.250, 0.890], [0.711, 0.750, 0.110], [0.789, 0.250, 0.610]],
  "sg": "No. 62"
}

=====

[4]
{
  "formula": "DyMn2Si2",
  "functional": "PBE",
  "state": "relaxed",
  "cell": [[-1.948, 1.948, 5.157], [1.948, -1.948, 5.157], [1.948, 1.948, -5.157]],
  "species": ["Dy", "Mn", "Mn", "Si", "Si"],
  "fractional_positions": [[0.000, 0.000, 0.000], [0.250, 0.750, 0.500], [0.750, 0.250, 0.500], [0.380, 0.380, 0.000], [0.620, 0.620, 0.000]],
  "sg": "No. 139"
}

=====

[5]
{
  "formula": "Dy2Mn3Si5",
  "functional": "PBE",
  "state": "relaxed",
  "cell": [[10.568, 0.000, 0.000], [0.000, 10.568, 0.000], [0.000, 0.000, 5.428]],
  "species": ["Dy", "Dy", "Dy", "Dy", "Dy", "Dy", "Dy", "Dy", "Mn", "Mn", "Mn", "Mn", "Mn", "Mn", "Mn", "Mn", "Mn", "Mn", "Mn", "Mn", "Si", "Si", "Si", "Si", "Si", "Si", "Si", "Si", "Si", "Si", "Si", "Si", "Si", "Si", "Si", "Si", "Si", "Si", "Si", "Si"],
  "fractional_positions": [[0.074, 0.237, 0.000], [0.237, 0.926, 0.000], [0.263, 0.426, 0.500], [0.426, 0.737, 0.500], [0.574, 0.263, 0.500], [0.737, 0.574, 0.500], [0.763, 0.074, 0.000], [0.926, 0.763, 0.000], [0.000, 0.500, 0.250], [0.000, 0.500, 0.750], [0.121, 0.855, 0.500], [0.145, 0.121, 0.500], [0.355, 0.621, 0.000], [0.379, 0.355, 0.000], [0.500, 0.000, 0.250], [0.500, 0.000, 0.750], [0.621, 0.645, 0.000], [0.645, 0.379, 0.000], [0.855, 0.879, 0.500], [0.879, 0.145, 0.500], [0.000, 0.000, 0.258], [0.000, 0.000, 0.742], [0.023, 0.315, 0.500], [0.176, 0.676, 0.250], [0.176, 0.676, 0.750], [0.185, 0.477, 0.000], [0.315, 0.977, 0.500], [0.324, 0.176, 0.250], [0.324, 0.176, 0.750], [0.477, 0.815, 0.000], [0.500, 0.500, 0.242], [0.500, 0.500, 0.758], [0.523, 0.185, 0.000], [0.676, 0.824, 0.250], [0.676, 0.824, 0.750], [0.685, 0.023, 0.500], [0.815, 0.523, 0.000], [0.824, 0.324, 0.250], [0.824, 0.324, 0.750], [0.977, 0.685, 0.500]],
  "sg": "No. 128"
}

=====

[6]
{
  "formula": "DyMnSn2",
  "functional": "PBE",
  "state": "relaxed",
  "cell": [[10.473, 0.000, 0.000], [0.000, 11.438, 0.000], [0.000, 0.000, 9.047]],
  "species": ["Dy", "Dy", "Dy", "Dy", "Dy", "Dy", "Dy", "Dy", "Dy", "Dy", "Dy", "Dy", "Mn", "Mn", "Mn", "Mn", "Mn", "Mn", "Mn", "Mn", "Mn", "Mn", "Mn", "Mn", "Sn", "Sn", "Sn", "Sn", "Sn", "Sn", "Sn", "Sn", "Sn", "Sn", "Sn", "Sn", "Sn", "Sn", "Sn", "Sn", "Sn", "Sn", "Sn", "Sn", "Sn", "Sn", "Sn", "Sn"],
  "fractional_positions": [[0.165, 0.179, 0.000], [0.171, 0.453, 0.243], [0.171, 0.453, 0.757], [0.329, 0.953, 0.243], [0.329, 0.953, 0.757], [0.335, 0.679, 0.000], [0.665, 0.321, 0.000], [0.671, 0.047, 0.243], [0.671, 0.047, 0.757], [0.829, 0.547, 0.243], [0.829, 0.547, 0.757], [0.835, 0.821, 0.000], [0.000, 0.000, 0.242], [0.000, 0.000, 0.758], [0.088, 0.754, 0.247], [0.088, 0.754, 0.753], [0.412, 0.254, 0.247], [0.412, 0.254, 0.753], [0.500, 0.500, 0.242], [0.500, 0.500, 0.758], [0.588, 0.746, 0.247], [0.588, 0.746, 0.753], [0.912, 0.246, 0.247], [0.912, 0.246, 0.753], [0.041, 0.622, 0.000], [0.045, 0.625, 0.500], [0.125, 0.906, 0.500], [0.129, 0.899, 0.000], [0.162, 0.181, 0.338], [0.162, 0.181, 0.662], [0.338, 0.681, 0.338], [0.338, 0.681, 0.662], [0.371, 0.399, 0.000], [0.375, 0.406, 0.500], [0.455, 0.125, 0.500], [0.459, 0.122, 0.000], [0.541, 0.878, 0.000], [0.545, 0.875, 0.500], [0.625, 0.594, 0.500], [0.629, 0.601, 0.000], [0.662, 0.319, 0.338], [0.662, 0.319, 0.662], [0.838, 0.819, 0.338], [0.838, 0.819, 0.662], [0.871, 0.101, 0.000], [0.875, 0.094, 0.500], [0.955, 0.375, 0.500], [0.959, 0.378, 0.000]],
  "sg": "No. 55"
}

=====

[7]
{
  "formula": "Dy3TmMn8",
  "functional": "PBE",
  "state": "relaxed",
  "cell": [[2.688, 1.552, 8.016], [-2.688, 1.552, 8.016], [0.000, -3.104, 8.016]],
  "species": ["Dy", "Dy", "Dy", "Tm", "Mn", "Mn", "Mn", "Mn", "Mn", "Mn", "Mn", "Mn"],
  "fractional_positions": [[0.000, 0.000, 0.000], [0.127, 0.127, 0.127], [0.500, 0.500, 0.500], [0.627, 0.627, 0.627], [0.062, 0.564, 0.564], [0.064, 0.064, 0.564], [0.064, 0.564, 0.064], [0.314, 0.314, 0.314], [0.564, 0.062, 0.564], [0.564, 0.064, 0.064], [0.564, 0.564, 0.062], [0.814, 0.814, 0.814]],
  "sg": "No. 160"
}

=====

[8]
{
  "formula": "DyMo6S8",
  "functional": "PBE",
  "state": "relaxed",
  "cell": [[4.576, 2.642, 3.795], [-4.576, 2.642, 3.795], [0.000, -5.284, 3.795]],
  "species": ["Dy", "Mo", "Mo", "Mo", "Mo", "Mo", "Mo", "S", "S", "S", "S", "S", "S", "S", "S"],
  "fractional_positions": [[0.000, 0.000, 0.000], [0.224, 0.420, 0.560], [0.420, 0.560, 0.224], [0.440, 0.776, 0.580], [0.560, 0.224, 0.420], [0.580, 0.440, 0.776], [0.776, 0.580, 0.440], [0.128, 0.751, 0.368], [0.238, 0.238, 0.238], [0.249, 0.632, 0.872], [0.368, 0.128, 0.751], [0.632, 0.872, 0.249], [0.751, 0.368, 0.128], [0.762, 0.762, 0.762], [0.872, 0.249, 0.632]],
  "sg": "No. 148"
}

=====

Number 1: calculated formation energy -2085 meV/atom. Number 2: calculated formation energy -1872 meV/atom. Number 3: calculated formation energy -489 meV/atom. Number 4: calculated formation energy -604 meV/atom. Number 5: calculated formation energy -592 meV/atom. Number 6: calculated formation energy -374 meV/atom. Number 7: calculated formation energy 39 meV/atom. Number 8: calculated formation energy -1164 meV/atom.